[1]
Density functional theory data (PBE+U) for a relaxed structure of Mg5V2Mo2O16.

POSCAR file:
```
Mg5V2Mo2O16
1.0
10.230 0.000 0.000
0.000 10.479 0.000
-0.036 0.000 17.683
Mg V Mo O
30 12 12 96
direct
0.055 0.250 0.249
0.112 0.750 0.198
0.114 0.075 0.526
0.114 0.425 0.526
0.115 0.574 0.026
0.115 0.926 0.026
0.118 0.250 0.700
0.213 0.750 0.751
0.323 0.250 0.253
0.364 0.078 0.973
0.364 0.422 0.973
0.364 0.578 0.473
0.364 0.750 0.305
0.364 0.922 0.473
0.365 0.250 0.803
0.635 0.750 0.197
0.636 0.078 0.527
0.636 0.250 0.695
0.636 0.422 0.527
0.636 0.578 0.027
0.636 0.922 0.027
0.677 0.750 0.747
0.787 0.250 0.249
0.882 0.750 0.300
0.885 0.074 0.974
0.885 0.426 0.974
0.886 0.575 0.474
0.886 0.925 0.474
0.888 0.250 0.802
0.945 0.750 0.751
0.112 0.750 0.561
0.114 0.025 0.842
0.114 0.475 0.842
0.139 0.527 0.342
0.139 0.973 0.342
0.142 0.250 0.059
0.858 0.750 0.941
0.861 0.027 0.658
0.861 0.473 0.658
0.886 0.525 0.158
0.886 0.975 0.158
0.888 0.250 0.439
0.358 0.750 0.945
0.362 0.029 0.656
0.362 0.471 0.656
0.391 0.532 0.156
0.391 0.968 0.156
0.393 0.250 0.448
0.607 0.750 0.552
0.609 0.032 0.844
0.609 0.468 0.844
0.638 0.529 0.344
0.638 0.971 0.344
0.642 0.250 0.055
0.025 0.612 0.129
0.025 0.888 0.129
0.026 0.250 0.501
0.042 0.627 0.287
0.042 0.873 0.287
0.047 0.005 0.423
0.047 0.495 0.423
0.048 0.116 0.037
0.048 0.384 0.037
0.077 0.750 0.657
0.079 0.616 0.795
0.079 0.884 0.795
0.183 0.115 0.296
0.183 0.385 0.296
0.184 0.250 0.155
0.208 0.513 0.923
0.208 0.614 0.542
0.208 0.886 0.542
0.208 0.987 0.923
0.212 0.124 0.784
0.212 0.376 0.784
0.218 0.120 0.626
0.218 0.380 0.626
0.219 0.750 0.012
0.280 0.250 0.997
0.281 0.612 0.371
0.281 0.888 0.371
0.288 0.631 0.213
0.288 0.869 0.213
0.292 0.002 0.074
0.292 0.114 0.468
0.292 0.386 0.468
0.292 0.498 0.074
0.316 0.750 0.850
0.325 0.612 0.704
0.325 0.888 0.704
0.433 0.110 0.203
0.433 0.390 0.203
0.434 0.250 0.352
0.461 0.612 0.964
0.461 0.888 0.964
0.462 0.511 0.574
0.462 0.989 0.574
0.463 0.121 0.874
0.463 0.379 0.874
0.466 0.128 0.715
0.466 0.372 0.715
0.466 0.750 0.486
0.534 0.250 0.514
0.534 0.628 0.285
0.534 0.872 0.285
0.537 0.621 0.126
0.537 0.879 0.126
0.538 0.011 0.426
0.538 0.489 0.426
0.539 0.112 0.036
0.539 0.388 0.036
0.566 0.750 0.648
0.567 0.610 0.797
0.567 0.890 0.797
0.675 0.112 0.296
0.675 0.388 0.296
0.684 0.250 0.150
0.708 0.502 0.926
0.708 0.614 0.532
0.708 0.886 0.532
0.708 0.998 0.926
0.712 0.131 0.787
0.712 0.369 0.787
0.719 0.112 0.629
0.719 0.388 0.629
0.720 0.750 0.003
0.781 0.250 0.988
0.782 0.620 0.374
0.782 0.880 0.374
0.788 0.624 0.216
0.788 0.876 0.216
0.792 0.013 0.077
0.792 0.114 0.458
0.792 0.386 0.458
0.792 0.487 0.077
0.816 0.750 0.845
0.817 0.615 0.704
0.817 0.885 0.704
0.921 0.116 0.205
0.921 0.384 0.205
0.923 0.250 0.343
0.952 0.616 0.963
0.952 0.884 0.963
0.953 0.505 0.577
0.953 0.995 0.577
0.958 0.127 0.713
0.958 0.373 0.713
0.974 0.750 0.499
0.975 0.112 0.871
0.975 0.388 0.871
```

Computed properties:
As for the space group: P2_1/m, No. 11. Its formation energy is -2.589 eV/atom.

***

[2]
Density functional theory data (PBE+U) for a relaxed structure of Ag3Mo3AsO13.

POSCAR file:
```
Ag3Mo3AsO13
1.0
8.185 0.000 0.000
-2.258 8.059 0.000
-1.548 -4.580 8.600
Ag Mo As O
6 6 2 26
direct
0.090 0.349 0.058
0.256 0.530 0.535
0.391 0.654 0.920
0.609 0.346 0.080
0.744 0.470 0.465
0.910 0.651 0.942
0.117 0.943 0.732
0.302 0.089 0.256
0.487 0.210 0.642
0.513 0.790 0.358
0.698 0.911 0.744
0.883 0.057 0.268
0.053 0.723 0.331
0.947 0.277 0.669
0.030 0.268 0.518
0.081 0.461 0.846
0.085 0.933 0.323
0.113 0.187 0.248
0.210 0.140 0.920
0.218 0.788 0.743
0.235 0.889 0.076
0.252 0.685 0.369
0.262 0.066 0.637
0.409 0.316 0.531
0.442 0.008 0.377
0.442 0.624 0.159
0.461 0.262 0.237
0.539 0.738 0.763
0.558 0.376 0.841
0.558 0.992 0.623
0.591 0.684 0.469
0.738 0.934 0.363
0.748 0.315 0.631
0.765 0.111 0.924
0.782 0.212 0.257
0.790 0.860 0.080
0.887 0.813 0.752
0.915 0.067 0.677
0.919 0.539 0.154
0.970 0.732 0.482
```

Computed properties:
As for the space group: P-1, No. 2. The calculation puts the energy above the most stable polymorph in this dataset at 0 meV/atom. Its formation energy is -1.535 eV/atom.